# 1
The following is a PBE-GGA calculation of a geometry-optimized SmAlF5 structure, from Materials Project.

Structure (CIF):
```
data_SmAlF5
_symmetry_space_group_name_H-M 'P 1'
_symmetry_Int_Tables_number 1
_cell_length_a 9.190
_cell_length_b 9.420
_cell_length_c 9.596
_cell_angle_alpha 70.72
_cell_angle_beta 84.62
_cell_angle_gamma 73.10
loop_
_symmetry_equiv_pos_as_xyz
'x,y,z'
loop_
_atom_site_label
_atom_site_type_symbol
_atom_site_fract_x
_atom_site_fract_y
_atom_site_fract_z
Sm1 Sm 0.000 0.000 0.000
Sm2 Sm 0.011 0.524 0.241
Sm3 Sm 0.067 0.543 0.776
Sm4 Sm 0.534 0.747 0.057
Sm5 Sm 0.597 0.149 0.807
Sm6 Sm 0.631 0.055 0.270
Sm7 Sm 0.642 0.627 0.676
Sm8 Sm 0.950 0.089 0.600
Al1 Al 0.258 0.155 0.392
Al2 Al 0.283 0.966 0.765
Al3 Al 0.304 0.199 0.063
Al4 Al 0.316 0.644 0.417
Al5 Al 0.448 0.438 0.982
Al6 Al 0.676 0.408 0.385
Al7 Al 0.774 0.835 0.813
Al8 Al 0.949 0.823 0.433
F1 F 0.000 0.488 0.020
F2 F 0.003 0.750 0.052
F3 F 0.014 0.806 0.609
F4 F 0.093 0.103 0.376
F5 F 0.112 0.888 0.792
F6 F 0.124 0.138 0.759
F7 F 0.139 0.122 0.084
F8 F 0.146 0.816 0.385
F9 F 0.156 0.313 0.454
F10 F 0.203 0.590 0.302
F11 F 0.210 0.312 0.199
F12 F 0.238 0.304 0.876
F13 F 0.243 0.533 0.585
F14 F 0.267 0.998 0.571
F15 F 0.278 0.899 0.967
F16 F 0.282 0.567 0.874
F17 F 0.364 0.050 0.260
F18 F 0.390 0.761 0.256
F19 F 0.406 0.549 0.107
F20 F 0.410 0.086 0.725
F21 F 0.421 0.704 0.530
F22 F 0.441 0.795 0.783
F23 F 0.445 0.158 0.421
F24 F 0.446 0.048 0.006
F25 F 0.475 0.474 0.407
F26 F 0.536 0.414 0.780
F27 F 0.610 0.527 0.940
F28 F 0.648 0.852 0.189
F29 F 0.661 0.291 0.278
F30 F 0.687 0.245 0.561
F31 F 0.700 0.531 0.483
F32 F 0.714 0.831 0.477
F33 F 0.721 0.552 0.212
F34 F 0.761 0.133 0.060
F35 F 0.848 0.170 0.801
F36 F 0.851 0.025 0.415
F37 F 0.876 0.454 0.747
F38 F 0.885 0.335 0.395
F39 F 0.908 0.875 0.244
F40 F 0.962 0.623 0.477
```

Results
M_tot ... 0.0 μB per formula unit
ρ ... 4.82 g/cm³
E above lowest polymorph ... 30.6 meV/atom

# 2
The following is a PBE-GGA calculation of a geometry-optimized NaLi3SiO4 structure, from Materials Project.

Structure (CIF):
```
data_NaLi3SiO4
_symmetry_space_group_name_H-M 'I 41/a'
_symmetry_Int_Tables_number 88
_cell_length_a 10.875
_cell_length_b 10.875
_cell_length_c 12.736
_cell_angle_alpha 90.00
_cell_angle_beta 90.00
_cell_angle_gamma 90.00
loop_
_symmetry_equiv_pos_as_xyz
'x,y,z'
'-x,-y,-z'
'-y+3/4,x+1/4,z+1/4'
'y+3/4,-x+1/4,-z+1/4'
'-x+1/2,-y,z+1/2'
'x+1/2,y,-z+1/2'
'y+3/4,-x+3/4,z+3/4'
'-y+3/4,x+3/4,-z+3/4'
'x+1/2,y+1/2,z+1/2'
'-x+1/2,-y+1/2,-z+1/2'
'-y+1/4,x+3/4,z+3/4'
'y+1/4,-x+3/4,-z+3/4'
'-x,-y+1/2,z'
'x,y+1/2,-z'
'y+1/4,-x+1/4,z+1/4'
'-y+1/4,x+1/4,-z+1/4'
loop_
_atom_site_label
_atom_site_type_symbol
_atom_site_fract_x
_atom_site_fract_y
_atom_site_fract_z
Na1 Na 0.221 0.015 0.405
Li1 Li 0.001 0.384 0.322
Li2 Li 0.021 0.092 0.056
Li3 Li 0.030 0.090 0.563
Si1 Si 0.039 0.069 0.805
O1 O 0.039 0.398 0.913
O2 O 0.051 0.424 0.701
O3 O 0.082 0.423 0.183
O4 O 0.096 0.414 0.454
```

Results
M_tot ... 0.0 μB per formula unit
ρ ... 2.40 g/cm³

# 3
The following is a PBE-GGA calculation of a geometry-optimized Na4Ga2Si3Sn2S3O24 structure, from Materials Project.

Structure (CIF):
```
data_Na4Ga2Si3Sn2S3O24
_symmetry_space_group_name_H-M 'P 1'
_symmetry_Int_Tables_number 1
_cell_length_a 8.865
_cell_length_b 8.886
_cell_length_c 22.592
_cell_angle_alpha 87.86
_cell_angle_beta 87.88
_cell_angle_gamma 60.09
loop_
_symmetry_equiv_pos_as_xyz
'x,y,z'
loop_
_atom_site_label
_atom_site_type_symbol
_atom_site_fract_x
_atom_site_fract_y
_atom_site_fract_z
Na1 Na 0.000 0.000 0.000
Na2 Na 0.003 0.980 0.494
Na3 Na 0.027 0.302 0.405
Na4 Na 0.294 0.025 0.918
Na5 Na 0.320 0.338 0.830
Na6 Na 0.323 0.328 0.322
Na7 Na 0.355 0.639 0.750
Na8 Na 0.636 0.356 0.240
Na9 Na 0.653 0.673 0.667
Na10 Na 0.664 0.662 0.161
Na11 Na 0.688 0.971 0.085
Na12 Na 0.968 0.696 0.581
Ga1 Ga 0.029 0.964 0.847
Ga2 Ga 0.322 0.345 0.690
Ga3 Ga 0.345 0.294 0.184
Ga4 Ga 0.619 0.665 0.023
Ga5 Ga 0.653 0.670 0.514
Ga6 Ga 0.984 0.988 0.341
Si1 Si 0.008 0.281 0.252
Si2 Si 0.289 0.008 0.749
Si3 Si 0.331 0.037 0.080
Si4 Si 0.341 0.621 0.583
Si5 Si 0.367 0.662 0.915
Si6 Si 0.616 0.335 0.085
Si7 Si 0.702 0.002 0.248
Si8 Si 0.951 0.675 0.418
Si9 Si 0.993 0.703 0.749
Sn1 Sn 0.012 0.983 0.651
Sn2 Sn 0.325 0.345 0.481
Sn3 Sn 0.333 0.336 0.984
Sn4 Sn 0.660 0.669 0.814
Sn5 Sn 0.682 0.666 0.309
Sn6 Sn 0.992 0.014 0.145
S1 S 0.034 0.329 0.583
S2 S 0.036 0.622 0.084
S3 S 0.287 0.706 0.250
S4 S 0.372 0.955 0.417
S5 S 0.618 0.043 0.583
S6 S 0.663 0.374 0.416
S7 S 0.670 0.956 0.916
S8 S 0.711 0.281 0.749
S9 S 0.950 0.374 0.917
O1 O 0.009 0.176 0.589
O2 O 0.018 0.799 0.086
O3 O 0.031 0.795 0.802
O4 O 0.033 0.165 0.314
O5 O 0.119 0.512 0.135
O6 O 0.121 0.354 0.632
O7 O 0.132 0.348 0.918
O8 O 0.141 0.554 0.027
O9 O 0.142 0.291 0.526
O10 O 0.143 0.485 0.422
O11 O 0.156 0.814 0.585
O12 O 0.166 0.003 0.086
O13 O 0.169 0.042 0.809
O14 O 0.169 0.316 0.242
O15 O 0.176 0.519 0.743
O16 O 0.177 0.843 0.911
O17 O 0.182 0.786 0.305
O18 O 0.195 0.982 0.414
O19 O 0.214 0.957 0.692
O20 O 0.216 0.814 0.196
O21 O 0.286 0.545 0.527
O22 O 0.289 0.152 0.017
O23 O 0.306 0.534 0.246
O24 O 0.316 0.174 0.738
O25 O 0.344 0.489 0.920
O26 O 0.356 0.133 0.422
O27 O 0.366 0.499 0.642
O28 O 0.370 0.122 0.135
O29 O 0.452 0.848 0.471
O30 O 0.458 0.707 0.967
O31 O 0.467 0.684 0.257
O32 O 0.477 0.823 0.754
O33 O 0.477 0.879 0.363
O34 O 0.483 0.623 0.853
O35 O 0.495 0.367 0.144
O36 O 0.504 0.128 0.918
O37 O 0.508 0.125 0.634
O38 O 0.509 0.347 0.422
O39 O 0.514 0.641 0.572
O40 O 0.515 0.852 0.073
O41 O 0.516 0.180 0.244
O42 O 0.534 0.303 0.744
O43 O 0.542 0.145 0.526
O44 O 0.543 0.289 0.026
O45 O 0.628 0.482 0.361
O46 O 0.635 0.879 0.863
O47 O 0.644 0.865 0.578
O48 O 0.649 0.499 0.078
O49 O 0.671 0.835 0.251
O50 O 0.684 0.460 0.468
O51 O 0.689 0.460 0.751
O52 O 0.696 0.849 0.969
O53 O 0.785 0.036 0.305
O54 O 0.794 0.174 0.802
O55 O 0.795 0.028 0.584
O56 O 0.807 0.152 0.086
O57 O 0.815 0.210 0.693
O58 O 0.817 0.468 0.256
O59 O 0.821 0.982 0.905
O60 O 0.823 0.203 0.413
O61 O 0.826 0.955 0.188
O62 O 0.827 0.673 0.755
O63 O 0.835 0.694 0.480
O64 O 0.844 0.462 0.969
O65 O 0.861 0.646 0.076
O66 O 0.864 0.489 0.576
O67 O 0.872 0.618 0.364
O68 O 0.879 0.480 0.860
O69 O 0.947 0.816 0.686
O70 O 0.956 0.206 0.196
O71 O 0.966 0.201 0.911
O72 O 0.977 0.843 0.408
```

Results
M_tot ... 0.0 μB per formula unit
ρ ... 3.34 g/cm³

no.,ΔH_f (0 K) (eV per atom),calculated volume (Å³ per cell)
1,-3.78,750.2
2,-2.63,1506.2
3,-2.29,1541.1